(1)
The following is a GGA+U calculation of a geometry-optimized VCu3P4O16 structure, from Materials Project.

Total DFT energy (no corrections) in eV per cell: -159.2
Total energy after the MP2020 corrections in eV/atom: -7.161
E_form in eV/atom: -2.070
Crystal system: monoclinic
Volume in Å³ per atom: 11.7

Cell lengths 5.9120, 4.8539, 9.7897 Å; angles 89.39, 90.00, 90.00 degrees
With the nearest neighbours (Å) after each atom.
Fractional positions:
V1 0.0000 0.0276 0.7223  6 O 1.80-2.01
Cu1 0.5000 0.9614 0.2761  6 O 1.96-2.14
Cu2 0.5000 0.5788 0.7843  4 O 1.89-2.05
Cu3 0.0000 0.4326 0.2221  4 O 1.91-2.02
P1 0.0000 0.9174 0.3976  4 O 1.53-1.63
P2 0.0000 0.5948 0.9040  4 O 1.51-1.59
P3 0.5000 0.4182 0.0967  4 O 1.53-1.58
P4 0.5000 0.0678 0.5942  4 O 1.51-1.61
O1 0.0000 0.8540 0.5611  1 P 1.63, 1 V 1.80
O2 0.2077 0.7708 0.3376  1 P 1.54
O3 0.7923 0.7708 0.3376  1 P 1.54
O4 0.5000 0.7550 0.6108  1 P 1.53
O5 0.5000 0.7306 0.1134  1 P 1.53
O6 0.1945 0.7573 0.8257  1 P 1.59
O7 0.8055 0.7573 0.8257  1 P 1.59
O8 0.0000 0.6470 0.0554  1 P 1.51
O9 0.5000 0.3536 0.9425  1 P 1.55
O10 0.7012 0.2620 0.1701  1 P 1.58
O11 0.2988 0.2620 0.1701  1 P 1.58
O12 0.0000 0.2885 0.8667  1 P 1.53
O13 0.0000 0.2320 0.3916  1 P 1.53
O14 0.7139 0.1941 0.6732  1 P 1.61
O15 0.2861 0.1941 0.6732  1 P 1.61
O16 0.5000 0.1723 0.4480  1 P 1.51

***

(2)
The following is a GGA+U calculation of a geometry-optimized V3CuP6O24 structure, from Materials Project.

Total DFT energy (no corrections) in eV per cell: -241.6
Total energy after the MP2020 corrections in eV/atom: -7.740
E_form in eV/atom: -2.370
Crystal system: trigonal
Volume in Å³ per atom: 13.3

Cell lengths 8.7186, 8.7186, 8.7186 Å; angles 58.44, 58.44, 58.44 degrees
With the nearest neighbours (Å) after each atom.
Fractional positions:
V1 0.8606 0.8606 0.8606  6 O 1.86-1.92
V2 0.6411 0.6411 0.6411  6 O 1.85-1.89
V3 0.3617 0.3617 0.3617  6 O 1.85-1.94
Cu1 0.1435 0.1435 0.1435  6 O 1.96-1.99
P1 0.2502 0.5305 0.9686  4 O 1.51-1.56
P2 0.9686 0.2502 0.5305  4 O 1.51-1.56
P3 0.5305 0.9686 0.2502  4 O 1.51-1.56
P4 0.4657 0.0319 0.7541  4 O 1.51-1.57
P5 0.0319 0.7541 0.4657  4 O 1.51-1.57
P6 0.7541 0.4657 0.0319  4 O 1.51-1.57
O1 0.7115 0.5040 0.8614  1 P 1.55
O2 0.5040 0.8614 0.7115  1 P 1.55
O3 0.0729 0.7167 0.9388  1 P 1.56
O4 0.8614 0.7115 0.5040  1 P 1.55
O5 0.4235 0.5727 0.7836  1 P 1.56
O6 0.2336 0.3622 0.9766  1 P 1.51
O7 0.9388 0.0729 0.7167  1 P 1.56
O8 0.7836 0.4235 0.5727  1 P 1.56
O9 0.5727 0.7836 0.4235  1 P 1.56
O10 0.6435 0.0052 0.7771  1 P 1.55
O11 0.2820 0.0522 0.9230  1 P 1.51
O12 0.0052 0.7771 0.6435  1 P 1.55
O13 0.9766 0.2336 0.3622  1 P 1.51
O14 0.7167 0.9388 0.0729  1 P 1.56
O15 0.3622 0.9766 0.2336  1 P 1.51
O16 0.4435 0.2141 0.5699  1 P 1.57
O17 0.2141 0.5699 0.4435  1 P 1.57
O18 0.0522 0.9230 0.2820  1 P 1.51
O19 0.7771 0.6435 0.0052  1 P 1.55
O20 0.5699 0.4435 0.2141  1 P 1.57
O21 0.1433 0.2764 0.5044  1 P 1.54
O22 0.9230 0.2820 0.0522  1 P 1.51
O23 0.5044 0.1433 0.2764  1 P 1.54
O24 0.2764 0.5044 0.1433  1 P 1.54

***

(3)
The following is a GGA+U calculation of a geometry-optimized V3Cu2P6WO24 structure, from Materials Project.

Total DFT energy (no corrections) in eV per cell: -260.6
Total energy after the MP2020 corrections in eV/atom: -7.963
E_form in eV/atom: -2.417
Crystal system: trigonal
Volume in Å³ per atom: 12.9

Cell lengths 8.7002, 8.6873, 8.6873 Å; angles 60.00, 60.05, 60.05 degrees
With the nearest neighbours (Å) after each atom.
Fractional positions:
V1 0.0733 0.6422 0.6422  6 O 1.95-2.02
V2 0.4283 0.8572 0.8572  6 O 1.94-2.02
V3 0.9267 0.3578 0.3578  6 O 1.95-2.00
Cu1 0.0113 0.9962 0.9962  6 O 2.27-2.41
Cu2 0.4996 0.5001 0.5001  6 O 2.32-2.33
P1 0.2453 0.2517 0.5444  4 O 1.52-1.57
P2 0.2453 0.9586 0.2517  4 O 1.52-1.57
P3 0.2453 0.5444 0.9586  4 O 1.52-1.57
P4 0.7503 0.4658 0.0393  4 O 1.52-1.59
P5 0.7503 0.0393 0.7445  4 O 1.52-1.59
P6 0.7503 0.7445 0.4658  4 O 1.52-1.59
W1 0.5734 0.1422 0.1422  6 O 1.97-2.01
O1 0.0719 0.1229 0.3015  1 P 1.52
O2 0.0719 0.5038 0.1229  1 P 1.52
O3 0.0719 0.3015 0.5038  1 P 1.52
O4 0.2456 0.0829 0.7303  1 P 1.55
O5 0.4291 0.1974 0.3799  1 P 1.57
O6 0.2556 0.4169 0.5576  1 P 1.54
O7 0.2456 0.9412 0.0829  1 P 1.55
O8 0.2556 0.7699 0.4169  1 P 1.54
O9 0.5702 0.6227 0.0052  1 P 1.53
O10 0.2556 0.5576 0.7699  1 P 1.54
O11 0.7523 0.2725 0.0604  1 P 1.59
O12 0.5702 0.0052 0.8019  1 P 1.53
O13 0.4291 0.9936 0.1974  1 P 1.57
O14 0.2456 0.7303 0.9412  1 P 1.55
O15 0.7458 0.4402 0.2310  1 P 1.55
O16 0.4291 0.3799 0.9936  1 P 1.57
O17 0.7458 0.2310 0.5830  1 P 1.55
O18 0.7523 0.0604 0.9148  1 P 1.59
O19 0.7458 0.5830 0.4402  1 P 1.55
O20 0.5702 0.8019 0.6227  1 P 1.53
O21 0.7523 0.9148 0.2725  1 P 1.59
O22 0.9297 0.6984 0.4944  1 P 1.52
O23 0.9297 0.4944 0.8775  1 P 1.52
O24 0.9297 0.8775 0.6984  1 P 1.52

***

(4)
The following is a GGA+U calculation of a geometry-optimized PrCuW2O8 structure, from Materials Project.

Total DFT energy (no corrections) in eV per cell: -176.6
Total energy after the MP2020 corrections in eV/atom: -8.554
E_form in eV/atom: -2.356
Crystal system: triclinic
Volume in Å³ per atom: 13.8

Cell lengths 7.2704, 7.4655, 7.6290 Å; angles 113.94, 115.88, 91.16 degrees
With the nearest neighbours (Å) after each atom.
Fractional positions:
Pr1 0.1833 0.2863 0.4595  8 O 2.43-2.65
Pr2 0.8167 0.7137 0.5405  8 O 2.43-2.65
Cu1 0.2478 0.6821 0.0072  2 O 1.92-1.98
Cu2 0.7522 0.3179 0.9928  2 O 1.92-1.98
W1 0.2614 0.2951 0.0290  3 O 1.84-1.85
W2 0.7386 0.7049 0.9710  3 O 1.84-1.85
W3 0.6466 0.1043 0.2873  4 O 1.79-1.98
W4 0.3534 0.8957 0.7127  4 O 1.79-1.98
O1 0.1840 0.3584 0.8009  1 W 1.84
O2 0.8160 0.6416 0.1991  1 W 1.84
O3 0.4510 0.5361 0.2541  1 W 1.85
O4 0.5490 0.4639 0.7459  1 W 1.85
O5 0.8593 0.0090 0.1984  2 W 1.98-2.08
O6 0.1407 0.9910 0.8016  2 W 1.98-2.08
O7 0.7080 0.0109 0.4837  1 W 1.79
O8 0.2920 0.9891 0.5163  1 W 1.79
O9 0.1789 0.6407 0.5594  1 W 1.84
O10 0.8211 0.3593 0.4406  1 W 1.84
O11 0.4816 0.8261 0.0099  1 Cu 1.98, 2 W 2.08-2.18
O12 0.5184 0.1739 0.9901  1 Cu 1.98, 2 W 2.08-2.18
O13 0.0408 0.3042 0.0880  1 W 1.84, 1 Cu 1.92
O14 0.9592 0.6958 0.9120  1 W 1.84, 1 Cu 1.92
O15 0.3845 0.1733 0.2564  2 W 1.92-2.14
O16 0.6155 0.8267 0.7436  2 W 1.92-2.14

***

- Which of these has the lowest total energy after the MP2020 corrections?
  PrCuW2O8

***

- The lowest total DFT energy (no corrections) belongs to which entry?
  V3Cu2P6WO24